Below is a geometry-optimized Zr3Sn4Sb2 structure, with properties calculated at the PBE-GGA level.

Summary:
E_form = -0.512 eV/atom

a b c (Å): 5.584 5.584 7.695
angles (deg): 90.25 90.25 119.95
Sites, in units of the cell vectors:
Zr  0.000  0.000  0.000
Zr  0.000  0.494  0.663
Zr  0.506  0.000  0.337
Sn  0.332  0.668  0.000
Sn  0.335  0.162  0.669
Sn  0.669  0.331  0.000
Sn  0.838  0.665  0.331
Sb  0.169  0.331  0.333
Sb  0.669  0.831  0.667


Below is a geometry-optimized Sr11Sb10 structure, with properties calculated at the PBE-GGA level.

Summary:
total magnetization = 0.90 Bohr magnetons per cell
E_form = -1.068 eV/atom

a b c (Å): 12.822 12.822 12.822
angles (deg): 121.31 121.31 87.74
Sites, in units of the cell vectors:
Sr  0.060  0.310  0.750
Sr  0.105  0.440  0.335
Sr  0.105  0.770  0.665
Sr  0.155  0.155  0.000
Sr  0.230  0.895  0.335
Sr  0.310  0.060  0.750
Sr  0.310  0.561  0.250
Sr  0.331  0.331  0.662
Sr  0.331  0.669  0.000
Sr  0.439  0.690  0.750
Sr  0.440  0.105  0.335
Sr  0.560  0.895  0.665
Sr  0.561  0.310  0.250
Sr  0.669  0.331  0.000
Sr  0.669  0.669  0.338
Sr  0.690  0.439  0.750
Sr  0.690  0.940  0.250
Sr  0.770  0.105  0.665
Sr  0.845  0.845  0.000
Sr  0.895  0.230  0.335
Sr  0.895  0.560  0.665
Sr  0.940  0.690  0.250
Sb  0.030  0.030  0.419
Sb  0.030  0.611  0.000
Sb  0.121  0.121  0.242
Sb  0.121  0.879  0.000
Sb  0.146  0.500  0.646
Sb  0.250  0.750  0.500
Sb  0.378  0.378  0.000
Sb  0.389  0.389  0.419
Sb  0.389  0.970  0.000
Sb  0.500  0.146  0.646
Sb  0.500  0.854  0.354
Sb  0.611  0.030  0.000
Sb  0.611  0.611  0.581
Sb  0.622  0.622  0.000
Sb  0.750  0.250  0.500
Sb  0.854  0.500  0.354
Sb  0.879  0.121  0.000
Sb  0.879  0.879  0.758
Sb  0.970  0.389  0.000
Sb  0.970  0.970  0.581


Below is a geometry-optimized SrZn2Sb2 structure, with properties calculated at the PBE-GGA level.

Summary:
E_form = -0.558 eV/atom

a b c (Å): 4.565 4.565 7.764
angles (deg): 90.00 90.00 120.00
Sites, in units of the cell vectors:
Sr  0.000  0.000  0.000
Zn  0.333  0.667  0.635
Zn  0.667  0.333  0.365
Sb  0.333  0.667  0.271
Sb  0.667  0.333  0.729


Below is a geometry-optimized Sr2ZnSb2 structure, with properties calculated at the PBE-GGA level.

Summary:
total magnetization = 0.00 Bohr magnetons per cell
E_form = -0.790 eV/atom

a b c (Å): 4.695 4.695 8.791
angles (deg): 90.00 90.00 120.00
Sites, in units of the cell vectors:
Sr  0.000  0.000  0.212
Sr  0.000  0.000  0.788
Zn  0.333  0.667  0.500
Sb  0.333  0.667  0.000
Sb  0.667  0.333  0.500


Below is a geometry-optimized TaSb2 structure, with properties calculated at the PBE-GGA level.

Summary:
E_form = -0.272 eV/atom

a b c (Å): 10.349 3.692 8.390
angles (deg): 90.00 120.40 90.00
Sites, in units of the cell vectors:
Ta  0.151  0.000  0.189
Ta  0.349  0.500  0.811
Ta  0.651  0.500  0.189
Ta  0.849  0.000  0.811
Sb  0.095  0.500  0.888
Sb  0.148  0.000  0.535
Sb  0.352  0.500  0.465
Sb  0.405  0.000  0.112
Sb  0.595  0.000  0.888
Sb  0.648  0.500  0.535
Sb  0.852  0.000  0.465
Sb  0.905  0.500  0.112


Below is a geometry-optimized Ta5Sb4 structure, with properties calculated at the PBE-GGA level.

Summary:
energy above the most stable polymorph in this dataset = 0.00 eV per formula unit
E_form = -0.248 eV/atom

a b c (Å): 7.532 7.532 7.532
angles (deg): 93.25 93.25 152.46
Sites, in units of the cell vectors:
Ta  0.000  0.000  0.000
Ta  0.313  0.372  0.685
Ta  0.372  0.687  0.059
Ta  0.628  0.313  0.941
Ta  0.687  0.628  0.315
Sb  0.052  0.296  0.348
Sb  0.296  0.948  0.244
Sb  0.704  0.052  0.756
Sb  0.948  0.704  0.652


Below is a geometry-optimized Ta3Sb structure, with properties calculated at the PBE-GGA level.

Summary:
E_form = -0.143 eV/atom

a b c (Å): 5.303 5.303 5.303
angles (deg): 90.00 90.00 90.00
Sites, in units of the cell vectors:
Ta  0.000  0.250  0.500
Ta  0.000  0.750  0.500
Ta  0.250  0.500  0.000
Ta  0.500  0.000  0.250
Ta  0.500  0.000  0.750
Ta  0.750  0.500  0.000
Sb  0.000  0.000  0.000
Sb  0.500  0.500  0.500


Below is a geometry-optimized Ta5Sb4 structure, with properties calculated at the PBE-GGA level.

Summary:
total magnetization = 0.02 Bohr magnetons per cell
energy above the most stable polymorph in this dataset = 2.41 eV per formula unit
E_form = 0.020 eV/atom

a b c (Å): 7.563 7.563 7.563
angles (deg): 92.89 92.89 154.03
Sites, in units of the cell vectors:
Ta  0.000  0.000  0.000
Ta  0.046  0.651  0.697
Ta  0.349  0.046  0.395
Ta  0.651  0.954  0.605
Ta  0.954  0.349  0.303
Sb  0.323  0.635  0.958
Sb  0.365  0.323  0.688
Sb  0.635  0.677  0.312
Sb  0.677  0.365  0.042